No. 1
Computed, not measured: TlTeF5 after structural relaxation at the PBE level of DFT.

crystal system: orthorhombic
VASP energy: -118.71 eV/cell

Unit cell a=17.127 b=6.281 c=4.952 alpha=90.00 beta=90.00 gamma=90.00
Space group Pnma (No. 62)
Unique sites:
Tl1 0.066 0.250 0.178 (multiplicity 4)
Te1 0.164 0.750 0.545 (multiplicity 4)
F1 0.075 0.750 0.304 (multiplicity 4)
F2 0.096 0.524 0.718 (multiplicity 8)
F3 0.198 0.527 0.281 (multiplicity 8)

---

No. 2
Computed, not measured: ThF4 after structural relaxation at the PBE level of DFT.

crystal system: monoclinic
relative energy among the computed polymorphs: 0 meV per atom

Unit cell a=13.174 b=11.097 c=8.611 alpha=90.00 beta=126.08 gamma=90.00
Space group C2/c (No. 15)
Unique sites:
Th1 0.000 0.213 0.250 (multiplicity 4)
Th2 0.204 0.428 0.830 (multiplicity 8)
F1 0.000 0.397 0.750 (multiplicity 4)
F2 0.107 0.295 0.568 (multiplicity 8)
F3 0.117 0.380 0.280 (multiplicity 8)
F4 0.121 0.054 0.457 (multiplicity 8)
F5 0.126 0.152 0.155 (multiplicity 8)
F6 0.210 0.471 0.103 (multiplicity 8)
F7 0.250 0.250 0.000 (multiplicity 4)

---

No. 3
Computed, not measured: ThF4 after structural relaxation at the PBE level of DFT.

crystal system: monoclinic
relative energy among the computed polymorphs: 95 meV per atom
total magnetic moment: 0.000 μB/atom

Unit cell a=13.373 b=9.653 c=9.144 alpha=90.00 beta=132.42 gamma=90.00
Space group C2/c (No. 15)
Unique sites:
Th1 0.000 0.197 0.250 (multiplicity 4)
Th2 0.175 0.415 0.764 (multiplicity 8)
F1 0.000 0.359 0.750 (multiplicity 4)
F2 0.059 0.386 0.086 (multiplicity 8)
F3 0.127 0.001 0.933 (multiplicity 8)
F4 0.134 0.127 0.191 (multiplicity 8)
F5 0.141 0.207 0.612 (multiplicity 8)
F6 0.141 0.406 0.429 (multiplicity 8)
F7 0.250 0.250 0.000 (multiplicity 4)

---

No. 4
Computed, not measured: ThTlF5 after structural relaxation at the PBE level of DFT.

crystal system: monoclinic
VASP energy: -174.88 eV/cell

Unit cell a=8.260 b=7.337 c=8.981 alpha=90.00 beta=117.38 gamma=90.00
Space group P2_1/c (No. 14)
Unique sites:
Th1 0.082 0.156 0.360 (multiplicity 4)
Tl1 0.421 0.626 0.655 (multiplicity 4)
F1 0.132 0.204 0.123 (multiplicity 4)
F2 0.155 0.022 0.858 (multiplicity 4)
F3 0.162 0.576 0.071 (multiplicity 4)
F4 0.169 0.639 0.783 (multiplicity 4)
F5 0.386 0.183 0.492 (multiplicity 4)

---

No. 5
Computed, not measured: ThZr2F12 after structural relaxation at the PBE level of DFT.

crystal system: monoclinic
VASP energy: -418.23 eV/cell

Unit cell a=12.750 b=10.635 c=7.978 alpha=90.00 beta=127.99 gamma=90.00
Space group C2/m (No. 12)
Unique sites:
Th1 0.000 0.221 0.000 (multiplicity 4)
Zr1 0.149 0.500 0.774 (multiplicity 4)
Zr2 0.189 0.000 0.570 (multiplicity 4)
F1 0.000 0.000 0.000 (multiplicity 2)
F2 0.000 0.000 0.500 (multiplicity 2)
F3 0.000 0.388 0.500 (multiplicity 4)
F4 0.068 0.372 0.867 (multiplicity 8)
F5 0.080 0.140 0.335 (multiplicity 8)
F6 0.182 0.352 0.279 (multiplicity 8)
F7 0.210 0.144 0.111 (multiplicity 8)
F8 0.212 0.500 0.572 (multiplicity 4)
F9 0.222 0.000 0.859 (multiplicity 4)

---

No. 6
Computed, not measured: TiF4 after structural relaxation at the PBE level of DFT.

crystal system: orthorhombic
relative energy among the computed polymorphs: 0 meV per atom

Unit cell a=23.598 b=3.913 c=9.867 alpha=90.00 beta=90.00 gamma=90.00
Space group Pnma (No. 62)
Unique sites:
Ti1 0.077 0.250 0.152 (multiplicity 4)
Ti2 0.099 0.250 0.548 (multiplicity 4)
Ti3 0.231 0.250 0.305 (multiplicity 4)
F1 0.002 0.250 0.143 (multiplicity 4)
F2 0.028 0.250 0.607 (multiplicity 4)
F3 0.073 0.250 0.356 (multiplicity 4)
F4 0.081 0.750 0.167 (multiplicity 4)
F5 0.092 0.250 0.978 (multiplicity 4)
F6 0.102 0.750 0.533 (multiplicity 4)
F7 0.134 0.250 0.706 (multiplicity 4)
F8 0.160 0.250 0.194 (multiplicity 4)
F9 0.175 0.250 0.455 (multiplicity 4)
F10 0.212 0.750 0.923 (multiplicity 4)
F11 0.224 0.750 0.307 (multiplicity 4)
F12 0.230 0.750 0.652 (multiplicity 4)

---

No. 7
Computed, not measured: TiF4 after structural relaxation at the PBE level of DFT.

crystal system: triclinic
relative energy among the computed polymorphs: 75 meV per atom
total magnetic moment: 0.000 μB/atom
piezoelectric modulus e_max: 8.34 C/m²

Unit cell a=5.173 b=5.473 c=5.734 alpha=110.50 beta=107.01 gamma=92.41
Space group P1 (No. 1)
Unique sites:
Ti1 0.000 0.000 0.000 (multiplicity 1)
Ti2 0.434 0.573 0.001 (multiplicity 1)
F1 0.109 0.638 0.782 (multiplicity 1)
F2 0.175 0.188 0.855 (multiplicity 1)
F3 0.338 0.928 0.214 (multiplicity 1)
F4 0.502 0.492 0.281 (multiplicity 1)
F5 0.554 0.389 0.745 (multiplicity 1)
F6 0.686 0.912 0.738 (multiplicity 1)
F7 0.796 0.794 0.145 (multiplicity 1)
F8 0.963 0.293 0.236 (multiplicity 1)

---

No. 8
Computed, not measured: TiTl5F9 after structural relaxation at the PBE level of DFT.

crystal system: monoclinic
VASP energy: -144.52 eV/cell

Unit cell a=6.876 b=8.001 c=11.146 alpha=90.00 beta=90.00 gamma=90.00
Space group Pm (No. 6)
Unique sites:
Ti1 0.000 0.000 0.000 (multiplicity 1)
Ti2 0.499 0.000 0.508 (multiplicity 1)
Tl1 0.049 0.268 0.333 (multiplicity 2)
Tl2 0.454 0.270 0.838 (multiplicity 2)
Tl3 0.471 0.500 0.503 (multiplicity 1)
Tl4 0.549 0.268 0.176 (multiplicity 2)
Tl5 0.954 0.270 0.671 (multiplicity 2)
Tl6 0.970 0.500 0.005 (multiplicity 1)
F1 0.059 0.500 0.505 (multiplicity 1)
F2 0.111 0.000 0.845 (multiplicity 1)
F3 0.166 0.500 0.791 (multiplicity 1)
F4 0.176 0.171 0.049 (multiplicity 2)
F5 0.314 0.500 0.262 (multiplicity 1)
F6 0.320 0.170 0.557 (multiplicity 2)
F7 0.387 0.000 0.354 (multiplicity 1)
F8 0.558 0.500 0.003 (multiplicity 1)
F9 0.609 0.000 0.664 (multiplicity 1)
F10 0.667 0.500 0.718 (multiplicity 1)
F11 0.676 0.170 0.460 (multiplicity 2)
F12 0.813 0.500 0.247 (multiplicity 1)
F13 0.821 0.170 0.951 (multiplicity 2)
F14 0.888 0.000 0.154 (multiplicity 1)

---

No. 9
Computed, not measured: YTi3F15 after structural relaxation at the PBE level of DFT.

crystal system: monoclinic
total magnetic moment: 0.000 μB/atom
VASP energy: -243.16 eV/cell

Unit cell a=6.145 b=10.357 c=10.072 alpha=90.00 beta=106.32 gamma=90.00
Space group P2_1/m (No. 11)
Unique sites:
Y1 0.213 0.250 0.210 (multiplicity 2)
Ti1 0.118 0.064 0.653 (multiplicity 4)
Ti2 0.500 0.000 0.000 (multiplicity 2)
F1 0.026 0.076 0.286 (multiplicity 4)
F2 0.051 0.250 0.668 (multiplicity 2)
F3 0.103 0.250 0.000 (multiplicity 2)
F4 0.130 0.586 0.508 (multiplicity 4)
F5 0.259 0.085 0.846 (multiplicity 4)
F6 0.290 0.614 0.020 (multiplicity 4)
F7 0.378 0.095 0.620 (multiplicity 4)
F8 0.447 0.099 0.147 (multiplicity 4)
F9 0.477 0.250 0.389 (multiplicity 2)

---

No. 10
Computed, not measured: YTiF5 after structural relaxation at the PBE level of DFT.

crystal system: orthorhombic
total magnetic moment: 0.290 μB/atom
VASP energy: -94.65 eV/cell

Unit cell a=4.191 b=6.956 c=8.431 alpha=90.00 beta=90.00 gamma=90.00
Space group Immm (No. 71)
Unique sites:
Y1 0.000 0.000 0.000 (multiplicity 2)
Ti1 0.000 0.000 0.500 (multiplicity 2)
F1 0.000 0.000 0.261 (multiplicity 4)
F2 0.000 0.319 0.000 (multiplicity 4)
F3 0.000 0.500 0.500 (multiplicity 2)

---

No. 11
Computed, not measured: TiZnF5 after structural relaxation at the PBE level of DFT.

crystal system: monoclinic
relative energy among the computed polymorphs: 0 meV per atom
total magnetic moment: 0.143 μB/atom

Unit cell a=8.691 b=6.418 c=7.552 alpha=90.00 beta=115.77 gamma=90.00
Space group C2/c (No. 15)
Unique sites:
Ti1 0.000 0.000 0.000 (multiplicity 4)
Zn1 0.000 0.479 0.250 (multiplicity 4)
F1 0.000 0.125 0.250 (multiplicity 4)
F2 0.012 0.306 0.955 (multiplicity 8)
F3 0.244 0.024 0.628 (multiplicity 8)

---

No. 12
Computed, not measured: TiZnF5 after structural relaxation at the PBE level of DFT.

crystal system: monoclinic
relative energy among the computed polymorphs: 12 meV per atom
total magnetic moment: 0.143 μB/atom

Unit cell a=5.320 b=9.948 c=7.586 alpha=90.00 beta=110.04 gamma=90.00
Space group P2_1/c (No. 14)
Unique sites:
Ti1 0.090 0.246 0.394 (multiplicity 4)
Zn1 0.493 0.002 0.751 (multiplicity 4)
F1 0.143 0.191 0.659 (multiplicity 4)
F2 0.156 0.596 0.200 (multiplicity 4)
F3 0.230 0.637 0.660 (multiplicity 4)
F4 0.345 0.108 0.003 (multiplicity 4)
F5 0.388 0.113 0.430 (multiplicity 4)

---

No. 13
Computed, not measured: ZrTiF6 after structural relaxation at the PBE level of DFT.

crystal system: cubic
VASP energy: -219.15 eV/cell

Unit cell a=8.249 b=8.249 c=8.249 alpha=90.00 beta=90.00 gamma=90.00
Space group Fm-3m (No. 225)
Unique sites:
Zr1 0.000 0.000 0.000 (multiplicity 4)
Ti1 0.000 0.000 0.500 (multiplicity 4)
F1 0.000 0.000 0.252 (multiplicity 24)